(1)
BaCa4Co2N4 after structural relaxation. Source: Materials Project, functional PBE.

Cell lengths 8.376, 8.376, 12.109 Å; angles 90.00, 90.00, 90.00 degrees
Positions (direct):
Ba  0.250  0.250  0.158
Ba  0.250  0.250  0.658
Ba  0.750  0.750  0.342
Ba  0.750  0.750  0.842
Ca  0.084  0.631  0.096
Ca  0.084  0.869  0.596
Ca  0.131  0.584  0.404
Ca  0.131  0.916  0.904
Ca  0.369  0.584  0.904
Ca  0.369  0.916  0.404
Ca  0.416  0.631  0.596
Ca  0.416  0.869  0.096
Ca  0.584  0.131  0.904
Ca  0.584  0.369  0.404
Ca  0.631  0.084  0.596
Ca  0.631  0.416  0.096
Ca  0.869  0.084  0.096
Ca  0.869  0.416  0.596
Ca  0.916  0.131  0.404
Ca  0.916  0.369  0.904
Co  0.094  0.594  0.750
Co  0.094  0.906  0.250
Co  0.406  0.594  0.250
Co  0.406  0.906  0.750
Co  0.594  0.094  0.250
Co  0.594  0.406  0.750
Co  0.906  0.094  0.750
Co  0.906  0.406  0.250
N  0.069  0.627  0.895
N  0.069  0.873  0.395
N  0.127  0.569  0.605
N  0.127  0.931  0.105
N  0.373  0.569  0.105
N  0.373  0.931  0.605
N  0.431  0.627  0.395
N  0.431  0.873  0.895
N  0.569  0.127  0.105
N  0.569  0.373  0.605
N  0.627  0.069  0.395
N  0.627  0.431  0.895
N  0.873  0.069  0.895
N  0.873  0.431  0.395
N  0.931  0.127  0.605
N  0.931  0.373  0.105

Results
Spin magnetization: 16.00 μB/cell


(2)
BaCa2Co2N4 after structural relaxation. Source: Materials Project, functional PBE.

Cell lengths 11.726, 8.060, 9.111 Å; angles 90.00, 90.00, 90.00 degrees
Positions (direct):
Ba  0.107  0.218  0.000
Ba  0.393  0.718  0.500
Ba  0.607  0.282  0.000
Ba  0.893  0.782  0.500
Ca  0.145  0.646  0.821
Ca  0.162  0.131  0.597
Ca  0.338  0.631  0.097
Ca  0.355  0.146  0.321
Ca  0.645  0.854  0.821
Ca  0.662  0.369  0.597
Ca  0.838  0.869  0.097
Ca  0.855  0.354  0.321
Co  0.007  0.574  0.126
Co  0.014  0.074  0.298
Co  0.486  0.574  0.798
Co  0.493  0.074  0.626
Co  0.507  0.926  0.126
Co  0.514  0.426  0.298
Co  0.986  0.926  0.798
Co  0.993  0.426  0.626
N  0.105  0.373  0.725
N  0.126  0.952  0.803
N  0.139  0.553  0.066
N  0.150  0.115  0.327
N  0.350  0.615  0.827
N  0.361  0.053  0.566
N  0.374  0.452  0.303
N  0.395  0.873  0.225
N  0.605  0.127  0.725
N  0.626  0.548  0.803
N  0.639  0.947  0.066
N  0.650  0.385  0.327
N  0.850  0.885  0.827
N  0.861  0.447  0.566
N  0.874  0.048  0.303
N  0.895  0.627  0.225

Results
Spin magnetization: 0.00 μB/cell


Values for energy, eV/atom, ordered as above
-5.8771 -6.0247
Values for formation energy, eV/atom, ordered as above
-0.78 -0.24